No. 1
DFT (r²SCAN) results for DySnGe after structural relaxation.

a b c (Å): 4.222 16.692 4.027
angles (deg): 90.00 90.00 90.00
Space group Cmcm (No. 63)
One atom of each set of equivalent atoms:
Dy: 0.000 0.095 0.250
Sn: 0.000 0.258 0.750
Ge: 0.000 0.450 0.250

Output
formation enthalpy at 0 K: -65.6 kJ per mole of atoms
spin magnetization: 0.00 μB/atom

=====

No. 2
DFT (r²SCAN) results for DyTiGe after structural relaxation.

a b c (Å): 4.032 4.032 7.722
angles (deg): 90.00 90.00 90.00
Space group P4/nmm (No. 129, origin choice 2)
One atom of each set of equivalent atoms:
Dy: 0.250 0.250 0.152
Ti: 0.250 0.750 0.500
Ge: 0.250 0.250 0.742

Output
formation enthalpy at 0 K: -78.1 kJ per mole of atoms
spin magnetization: 0.15 μB/atom

=====

No. 3
DFT (r²SCAN) results for DyHSe after structural relaxation.

a b c (Å): 3.8269 3.8269 3.9063
angles (deg): 90.00 90.00 120.00
Space group P-6m2 (No. 187)
One atom of each set of equivalent atoms:
Dy: 0.0000 0.0000 0.0000
H: 0.3333 0.6667 0.0000
Se: 0.6667 0.3333 0.5000

Output
formation enthalpy at 0 K: -161.1 kJ per mole of atoms
spin magnetization: 0.00 μB/atom